(1)
Computed, not measured: MgPPd5 after structural relaxation at the r2SCAN level of DFT.

Computed properties:
The formation energy comes out at -0.595 eV per atom.

abc: 3.909 3.909 6.921
angles: 90.00 90.00 90.00
Sites, in units of the cell vectors:
Pd1 0.500 0.000 0.704
Pd2 0.000 0.000 0.000
Pd3 0.000 0.500 0.296
Pd4 0.500 0.000 0.296
Pd5 0.000 0.500 0.704
P1 0.000 0.000 0.500
Mg1 0.500 0.500 0.000

=====

(2)
Computed, not measured: Mg2ZnP2 after structural relaxation at the r2SCAN level of DFT.

Computed properties:
The formation energy comes out at -0.621 eV per atom.

abc: 4.014 4.014 6.544
angles: 90.00 90.00 60.00
Sites, in units of the cell vectors:
Zn1 0.667 0.667 0.639
P1 0.667 0.667 0.233
P2 0.333 0.333 0.757
Mg1 0.000 0.000 0.006
Mg2 0.333 0.333 0.366

=====

(3)
Computed, not measured: MgPaRh2 after structural relaxation at the r2SCAN level of DFT.

Computed properties:
The formation energy comes out at -0.652 eV per atom.

abc: 4.685 4.685 4.685
angles: 60.00 60.00 60.00
Sites, in units of the cell vectors:
Rh1 0.500 0.500 0.500
Rh2 0.000 0.000 0.000
Pa1 0.750 0.750 0.750
Mg1 0.250 0.250 0.250

=====

(4)
Computed, not measured: MgPaTc2 after structural relaxation at the r2SCAN level of DFT.

Computed properties:
The formation energy comes out at -0.082 eV per atom.

abc: 4.615 4.615 4.615
angles: 60.00 60.00 60.00
Sites, in units of the cell vectors:
Mg1 0.250 0.250 0.250
Tc1 0.000 0.000 0.000
Tc2 0.500 0.500 0.500
Pa1 0.750 0.750 0.750

=====

(5)
Computed, not measured: Mg5Pb after structural relaxation at the r2SCAN level of DFT.

Computed properties:
The formation energy comes out at -0.018 eV per atom. The energy above the most stable polymorph in this dataset is 0 meV/atom.

abc: 5.634 5.634 5.102
angles: 90.00 90.00 120.00
Sites, in units of the cell vectors:
Mg1 0.667 0.333 0.500
Mg2 0.000 0.657 0.000
Mg3 0.333 0.667 0.500
Mg4 0.657 0.000 0.000
Mg5 0.343 0.343 0.000
Pb1 0.000 0.000 0.500

=====

(6)
Computed, not measured: Mg3Pb after structural relaxation at the r2SCAN level of DFT.

Computed properties:
The formation energy comes out at -0.063 eV per atom.

abc: 6.343 6.343 5.350
angles: 90.00 90.00 120.00
Sites, in units of the cell vectors:
Mg1 0.672 0.836 0.250
Mg2 0.164 0.836 0.250
Mg3 0.328 0.164 0.750
Mg4 0.836 0.164 0.750
Mg5 0.836 0.672 0.750
Mg6 0.164 0.328 0.250
Pb1 0.333 0.667 0.750
Pb2 0.667 0.333 0.250